Entry 1:
KPtS2O9: relaxed, GGA-PBE.

abc: 7.6179 7.7085 7.7791
angles: 102.06 112.14 99.29
Closest atoms and distances in Å follow each position.
Atoms (fractional coordinates):
S  0.1872  0.4446  0.7429  4 O 1.45-1.57
S  0.2293  0.8735  0.1750  4 O 1.44-1.57
S  0.7707  0.1265  0.8250  4 O 1.44-1.57
S  0.8128  0.5554  0.2571  4 O 1.45-1.57
O  0.3167  0.6243  0.7925  1 S 1.45
O  0.6606  0.6207  0.6805  1 Pt 1.96
O  0.8409  0.0621  0.6813  1 S 1.44
O  0.3172  0.7083  0.2086  1 S 1.56
O  0.0308  0.5445  0.3227  1 S 1.56
O  0.2338  0.3670  0.9212  1 S 1.57
O  0.9692  0.4555  0.6773  1 S 1.56
O  0.6828  0.2917  0.7914  1 S 1.56
O  0.3772  0.0059  0.1599  1 S 1.45
O  0.6228  0.9941  0.8401  1 S 1.45
O  0.7662  0.6330  0.0788  1 S 1.57
O  0.6833  0.3757  0.2075  1 S 1.45
O  0.1858  0.2985  0.5907  1 S 1.45
O  0.8142  0.7015  0.4093  1 S 1.45
O  0.0561  0.8016  0.9660  1 S 1.57
O  0.1591  0.9379  0.3187  1 S 1.44
O  0.9439  0.1984  0.0340  1 S 1.57
O  0.3394  0.3793  0.3195  1 Pt 1.96
K  0.2152  0.9565  0.7168  8 O 2.83-3.11
K  0.7848  0.0435  0.2832  8 O 2.83-3.11
Pt  0.1358  0.4512  0.1263  5 O 1.96-2.04
Pt  0.8642  0.5488  0.8737  5 O 1.96-2.04

Output
Space group: P-1
Energy (eV/f.u.): -73.2
Total magnetic moment (Bohr magnetons per cell): 0.03



Entry 2:
K2Pu2O5: relaxed, GGA-PBE.

abc: 4.2979 4.2979 8.6596
angles: 90.00 90.00 90.00
Closest atoms and distances in Å follow each position.
Atoms (fractional coordinates):
O  0.5000  0.0000  0.7815  2 Pu 2.17
O  0.5000  0.5000  0.5000  2 Pu 2.15
O  0.0000  0.5000  0.7815  2 Pu 2.17
O  0.5000  0.0000  0.2185  2 Pu 2.17
O  0.0000  0.5000  0.2185  2 Pu 2.17
Pu  0.5000  0.5000  0.2516  5 O 2.15-2.17
Pu  0.5000  0.5000  0.7484  5 O 2.15-2.17
K  0.0000  0.0000  0.5000  12 O 3.04-3.25
K  0.0000  0.0000  0.0000  8 O 2.86

Output
Space group: P4/mmm
Energy (eV/f.u.): -78.1



Entry 3:
K2PuO4: relaxed, GGA-PBE.

abc: 7.3500 7.3500 7.3500
angles: 145.66 145.66 49.35
Closest atoms and distances in Å follow each position.
Atoms (fractional coordinates):
K  0.6481  0.6481  0.0000  9 O 2.78-3.07
K  0.3519  0.3519  0.0000  9 O 2.78-3.07
Pu  0.0000  0.0000  0.0000  2 O 1.92
O  0.1437  0.1437  0.0000  1 Pu 1.92
O  0.5000  0.0000  0.5000  2 Pu 2.17
O  0.8563  0.8563  0.0000  1 Pu 1.92
O  0.0000  0.5000  0.5000  2 Pu 2.17

Output
Space group: I4/mmm
Energy (eV/f.u.): -52.8



Entry 4:
KRbO: relaxed, GGA-PBE.

abc: 4.7905 4.7905 6.7329
angles: 90.00 90.00 90.00
Closest atoms and distances in Å follow each position.
Atoms (fractional coordinates):
Rb  0.5000  0.5000  0.0000  4 O 2.86
Rb  0.0000  0.0000  0.0000  4 O 2.86
O  0.5000  0.0000  0.7677  1 K 2.45
O  0.0000  0.5000  0.2323  1 K 2.45
K  0.5000  0.0000  0.4036  1 O 2.45
K  0.0000  0.5000  0.5964  1 O 2.45

Output
Space group: P4/nmm
Energy (eV/f.u.): -9.6
Total magnetic moment (Bohr magnetons per cell): 0.00